Here is a geometry-optimized MgSi2 structure from Materials Project. Energies are from PBE.

POSCAR file:
```
MgSi2
1.0
-2.659 0.706 -2.662
-4.646 -1.156 4.260
-1.663 8.336 3.649
Mg Si
4 8
Direct
0.244 0.004 0.852 Mg
0.756 0.996 0.148 Mg
0.256 0.208 0.374 Mg
0.744 0.792 0.626 Mg
0.764 0.431 0.156 Si
0.738 0.330 0.891 Si
0.245 0.450 0.601 Si
0.254 0.794 0.369 Si
0.236 0.569 0.844 Si
0.262 0.670 0.109 Si
0.755 0.550 0.399 Si
0.746 0.206 0.631 Si
```

Properties
E_tot = -3.963 eV per atom
ΔH_f (0 K) = 0.235 eV per atom
symmetry = P-1, No. 2
magnetic moment = 0.00 μB per formula unit
corrected total energy (MP2020 scheme) = -46.98 eV for the cell shown
theoretical density = 2.42 g/cm3